Record 1
The following is a GGA+U calculation of a geometry-optimized BaFe5Bi4O15 structure, from the Materials Project database.

Lattice parameters (Å, degrees): 9.9241 9.9241 13.8523 118.34 118.34 33.09
Closest atoms and distances in Å follow each position.
Fractional coordinates of all 50 atoms:
Ba  0.0063  0.9937  0.5000  6 O 2.65-2.84
Ba  0.9937  0.0063  0.0000  6 O 2.65-2.84
Fe  0.0051  0.9984  0.7538  5 O 1.96-2.09
Fe  0.1901  0.2001  0.0466  6 O 2.02-2.08
Fe  0.2001  0.1901  0.5466  6 O 2.02-2.08
Fe  0.3970  0.3986  0.3447  6 O 1.97-2.12
Fe  0.3986  0.3970  0.8447  6 O 1.97-2.12
Fe  0.5989  0.6069  0.1469  6 O 1.95-2.17
Fe  0.6069  0.5989  0.6469  6 O 1.95-2.17
Fe  0.7943  0.8000  0.9444  6 O 1.98-2.12
Fe  0.8000  0.7943  0.4444  6 O 1.98-2.12
Fe  0.9984  0.0051  0.2538  5 O 1.96-2.09
Bi  0.2124  0.2301  0.8024  6 O 2.34-2.55
Bi  0.2301  0.2124  0.3024  6 O 2.34-2.55
Bi  0.4201  0.4297  0.1100  5 O 2.28-2.54
Bi  0.4297  0.4201  0.6100  5 O 2.28-2.54
Bi  0.6097  0.6330  0.9021  5 O 2.31-2.50
Bi  0.6330  0.6097  0.4021  5 O 2.31-2.50
Bi  0.8128  0.8215  0.6937  6 O 2.36-2.57
Bi  0.8215  0.8128  0.1937  6 O 2.36-2.57
O  0.0031  0.4550  0.9605  2 Fe 2.04-2.11
O  0.0179  0.1698  0.4010  2 Fe 1.96-2.03
O  0.0532  0.6045  0.8611  2 Fe 2.01-2.12
O  0.1387  0.5490  0.4186  2 Fe 1.99-2.12
O  0.1629  0.7177  0.3034  2 Fe 1.97-2.07
O  0.1698  0.0179  0.9010  2 Fe 1.96-2.03
O  0.1874  0.6674  0.7655  2 Fe 2.00-2.09
O  0.2195  0.3589  0.1997  2 Fe 2.02-2.08
O  0.2818  0.7822  0.6805  2 Fe 1.97-2.17
O  0.3218  0.7640  0.2118  2 Fe 1.99-2.15
O  0.3589  0.2195  0.6997  2 Fe 2.02-2.08
O  0.3625  0.9440  0.1294  2 Fe 1.96-2.08
O  0.4326  0.8473  0.5702  2 Fe 1.95-2.05
O  0.4520  0.5230  0.0013  2 Fe 2.00-2.13
O  0.4550  0.0031  0.4605  2 Fe 2.04-2.11
O  0.5230  0.4520  0.5013  2 Fe 2.00-2.13
O  0.5426  0.9414  0.0194  2 Fe 2.06-2.12
O  0.5490  0.1387  0.9186  2 Fe 1.99-2.12
O  0.6045  0.0532  0.3611  2 Fe 2.01-2.12
O  0.6157  0.7605  0.8028  2 Fe 2.00-2.07
O  0.6674  0.1874  0.2655  2 Fe 2.00-2.09
O  0.7177  0.1629  0.8034  2 Fe 1.97-2.07
O  0.7605  0.6157  0.3028  2 Fe 2.00-2.07
O  0.7640  0.3218  0.7118  2 Fe 1.99-2.15
O  0.7822  0.2818  0.1805  2 Fe 1.97-2.17
O  0.8256  0.9507  0.5953  1 Fe 1.98
O  0.8473  0.4326  0.0702  2 Fe 1.95-2.05
O  0.9414  0.5426  0.5194  2 Fe 2.06-2.12
O  0.9440  0.3625  0.6294  2 Fe 1.96-2.08
O  0.9507  0.8256  0.0953  1 Fe 1.98

Output
Raw total energy = -311.4 eV per cell
Energy relative to the elements = -1730 meV per atom
Magnetization = 24.00 μB per formula unit

---

Record 2
The following is a GGA+U calculation of a geometry-optimized Li2VP2O7 structure, from the Materials Project database.

Lattice parameters (Å, degrees): 5.0396 6.9701 8.4159 67.01 87.92 88.12
Closest atoms and distances in Å follow each position.
Fractional coordinates of all 24 atoms:
Li  0.2113  0.1655  0.4983  4 O 1.94-2.09
Li  0.2711  0.2011  0.9396  3 O 2.02-2.05
Li  0.7289  0.7989  0.0604  3 O 2.02-2.05
Li  0.7887  0.8345  0.5017  4 O 1.94-2.09
V  0.2559  0.7770  0.7769  6 O 2.12-2.29
V  0.7441  0.2230  0.2231  6 O 2.12-2.29
P  0.2204  0.5503  0.1937  4 O 1.53-1.63
P  0.2783  0.8845  0.3206  4 O 1.53-1.61
P  0.7217  0.1155  0.6794  4 O 1.53-1.61
P  0.7796  0.4497  0.8063  4 O 1.53-1.63
O  0.0722  0.4786  0.8330  1 P 1.53
O  0.1060  0.0412  0.1792  1 P 1.54
O  0.1973  0.8757  0.5007  1 P 1.53
O  0.2149  0.6509  0.3397  2 P 1.61-1.63
O  0.3623  0.7087  0.0345  1 P 1.53
O  0.3732  0.3442  0.2800  1 P 1.53
O  0.4206  0.0846  0.7189  1 P 1.55
O  0.5794  0.9154  0.2811  1 P 1.55
O  0.6268  0.6558  0.7200  1 P 1.53
O  0.6377  0.2913  0.9655  1 P 1.53
O  0.7851  0.3491  0.6603  2 P 1.61-1.63
O  0.8027  0.1243  0.4993  1 P 1.53
O  0.8940  0.9588  0.8208  1 P 1.54
O  0.9278  0.5214  0.1669  1 P 1.53

Output
ΔE to the lowest computed polymorph = 20 meV per atom
Raw total energy = -167.4 eV per cell
Energy relative to the elements = -2653 meV per atom
Magnetization = 3.00 μB per formula unit

---

Record 3
The following is a GGA+U calculation of a geometry-optimized Li11V16O32 structure, from the Materials Project database.

Lattice parameters (Å, degrees): 8.4779 8.5155 10.3697 113.54 113.57 91.30
Closest atoms and distances in Å follow each position.
Fractional coordinates of all 59 atoms:
Li  0.0000  0.0000  0.0000  6 O 2.10-2.26
Li  0.0197  0.8897  0.4273  3 O 1.88-1.95
Li  0.1534  0.9016  0.2147  3 O 1.90-1.98
Li  0.2629  0.7472  0.5207  6 O 2.05-2.26
Li  0.3007  0.5654  0.8762  4 O 1.96-2.04
Li  0.4853  0.5416  0.5431  3 O 1.95-2.05
Li  0.5612  0.2972  0.3696  4 O 1.89-2.05
Li  0.5931  0.4765  0.0765  3 O 1.89-1.94
Li  0.6376  0.8944  0.7663  6 O 2.11-2.32
Li  0.7521  0.2373  0.9977  6 O 2.08-2.25
Li  0.9332  0.1959  0.6382  4 O 1.97-2.04
V  0.0022  0.5080  0.0131  6 O 2.02-2.12
V  0.1223  0.8788  0.7573  6 O 2.01-2.11
V  0.1254  0.3718  0.2538  6 O 1.88-2.06
V  0.2452  0.2535  0.5071  6 O 2.01-2.13
V  0.2518  0.2537  0.0104  6 O 1.99-2.12
V  0.3634  0.1319  0.7552  6 O 1.92-2.02
V  0.3805  0.6303  0.2621  6 O 1.88-2.05
V  0.4880  0.9959  0.0019  6 O 2.04-2.09
V  0.5041  0.0085  0.5119  6 O 2.01-2.12
V  0.6162  0.8816  0.2557  6 O 2.01-2.12
V  0.6249  0.3762  0.7567  6 O 2.02-2.12
V  0.7416  0.7506  0.0023  6 O 2.01-2.11
V  0.7498  0.7542  0.5114  6 O 2.02-2.09
V  0.8632  0.1277  0.2540  6 O 1.90-2.07
V  0.8855  0.6222  0.7605  6 O 1.87-2.04
V  0.9847  0.4936  0.4996  6 O 2.02-2.12
O  0.0004  0.7429  0.5211  1 Li 1.90, 3 V 2.02-2.09
O  0.0145  0.2702  0.0335  1 V 1.88, 1 Li 2.10
O  0.0972  0.6252  0.7436  2 V 1.87-2.08, 1 Li 1.96
O  0.1122  0.1425  0.2642  1 Li 1.98, 3 V 2.00-2.07
O  0.1448  0.1322  0.7693  3 V 1.92-2.11, 1 Li 2.01
O  0.1466  0.6141  0.2552  3 V 1.96-2.07
O  0.2216  0.4881  0.4805  3 V 1.93-2.13, 2 Li 2.05-2.07
O  0.2438  0.0122  0.9924  3 V 1.99-2.04, 1 Li 2.10
O  0.2521  0.5001  0.0282  3 V 2.00-2.07, 1 Li 2.04
O  0.2638  0.0117  0.5182  1 Li 1.95, 3 V 2.02-2.11
O  0.3593  0.3878  0.2548  3 V 1.98-2.09, 1 Li 2.03
O  0.3646  0.8990  0.7587  3 V 2.00-2.08, 1 Li 2.05
O  0.3688  0.3547  0.7439  3 V 1.95-2.12, 1 Li 2.04
O  0.3886  0.8690  0.2764  1 Li 1.90, 3 V 1.97-2.03
O  0.4863  0.2308  0.9873  1 Li 1.94, 3 V 1.98-2.10
O  0.4878  0.2595  0.5195  3 V 2.01-2.12, 1 Li 2.02
O  0.4997  0.7555  0.5024  3 Li 2.04-2.25, 3 V 2.05-2.12
O  0.5129  0.7630  0.0175  1 Li 2.00, 3 V 2.01-2.06
O  0.5999  0.1335  0.7512  3 V 2.02-2.05, 2 Li 2.12
O  0.6064  0.6427  0.2701  3 V 1.88-2.10, 1 Li 1.89
O  0.6276  0.1099  0.2409  1 Li 1.89, 3 V 1.94-2.04
O  0.6492  0.6219  0.7642  1 Li 1.95, 3 V 2.02-2.06
O  0.7354  0.9832  0.4958  1 Li 2.00, 3 V 2.02-2.05
O  0.7401  0.0008  0.0126  3 V 2.05-2.09, 3 Li 2.08-2.26
O  0.7549  0.4995  0.9940  1 Li 1.93, 3 V 2.02-2.11
O  0.7586  0.5183  0.5214  3 V 2.02-2.05, 1 Li 2.05
O  0.8588  0.8960  0.2425  1 Li 1.88, 2 V 1.93-2.06
O  0.8781  0.8553  0.7517  3 V 2.02-2.05, 2 Li 2.12-2.13
O  0.8803  0.4022  0.7761  3 V 1.95-2.09, 1 Li 1.97
O  0.8845  0.3494  0.2522  3 V 1.90-2.12
O  0.9790  0.7445  0.9965  2 Li 1.98-2.16, 3 V 2.02-2.10
O  0.9950  0.2502  0.4874  3 V 1.99-2.05, 1 Li 2.04

Output
Raw total energy = -421.6 eV per cell
Energy relative to the elements = -2477 meV per atom
Magnetization = 27.00 μB per formula unit

---

Record 4
The following is a GGA+U calculation of a geometry-optimized MnSiO4 structure, from the Materials Project database.

Lattice parameters (Å, degrees): 10.0161 10.0161 10.0161 109.47 109.47 109.47
Closest atoms and distances in Å follow each position.
Fractional coordinates of all 72 atoms:
Mn  0.1250  0.2500  0.3750  8 O 2.17-2.27
Mn  0.1250  0.3750  0.7500  8 O 2.17-2.27
Mn  0.2500  0.3750  0.1250  8 O 2.17-2.27
Mn  0.2500  0.8750  0.6250  8 O 2.17-2.27
Mn  0.3750  0.1250  0.2500  8 O 2.17-2.27
Mn  0.3750  0.7500  0.1250  8 O 2.17-2.27
Mn  0.6250  0.2500  0.8750  8 O 2.17-2.27
Mn  0.6250  0.8750  0.7500  8 O 2.17-2.27
Mn  0.7500  0.1250  0.3750  8 O 2.17-2.27
Mn  0.7500  0.6250  0.8750  8 O 2.17-2.27
Mn  0.8750  0.6250  0.2500  8 O 2.17-2.27
Mn  0.8750  0.7500  0.6250  8 O 2.17-2.27
Si  0.1250  0.7500  0.8750  4 O 1.64
Si  0.1250  0.8750  0.2500  4 O 1.64
Si  0.2500  0.1250  0.8750  4 O 1.64
Si  0.2500  0.6250  0.3750  4 O 1.64
Si  0.3750  0.2500  0.6250  4 O 1.64
Si  0.3750  0.6250  0.7500  4 O 1.64
Si  0.6250  0.3750  0.2500  4 O 1.64
Si  0.6250  0.7500  0.3750  4 O 1.64
Si  0.7500  0.3750  0.6250  4 O 1.64
Si  0.7500  0.8750  0.1250  4 O 1.64
Si  0.8750  0.1250  0.7500  4 O 1.64
Si  0.8750  0.2500  0.1250  4 O 1.64
O  0.0299  0.2230  0.1330  1 Si 1.64
O  0.0299  0.3070  0.8969  1 Si 1.64
O  0.0899  0.7230  0.6930  1 Si 1.64
O  0.0899  0.8670  0.3969  1 Si 1.64
O  0.1031  0.6330  0.4101  1 Si 1.64
O  0.1031  0.9701  0.6930  1 Si 1.64
O  0.1330  0.0299  0.2230  1 Si 1.64
O  0.1330  0.6031  0.9101  1 Si 1.64
O  0.1930  0.2230  0.5899  1 Si 1.64
O  0.1930  0.4701  0.6031  1 Si 1.64
O  0.2230  0.1330  0.0299  1 Si 1.64
O  0.2230  0.5899  0.1930  1 Si 1.64
O  0.2770  0.3070  0.9101  1 Si 1.64
O  0.2770  0.4701  0.3670  1 Si 1.64
O  0.3070  0.8969  0.0299  1 Si 1.64
O  0.3070  0.9101  0.2770  1 Si 1.64
O  0.3670  0.2770  0.4701  1 Si 1.64
O  0.3670  0.5899  0.8969  1 Si 1.64
O  0.3969  0.0899  0.8670  1 Si 1.64
O  0.3969  0.8070  0.5299  1 Si 1.64
O  0.4101  0.1031  0.6330  1 Si 1.64
O  0.4101  0.8070  0.7770  1 Si 1.64
O  0.4701  0.3670  0.2770  1 Si 1.64
O  0.4701  0.6031  0.1930  1 Si 1.64
O  0.5299  0.3969  0.8070  1 Si 1.64
O  0.5299  0.6330  0.7230  1 Si 1.64
O  0.5899  0.1930  0.2230  1 Si 1.64
O  0.5899  0.8969  0.3670  1 Si 1.64
O  0.6031  0.1930  0.4701  1 Si 1.64
O  0.6031  0.9101  0.1330  1 Si 1.64
O  0.6330  0.4101  0.1031  1 Si 1.64
O  0.6330  0.7230  0.5299  1 Si 1.64
O  0.6930  0.0899  0.7230  1 Si 1.64
O  0.6930  0.1031  0.9701  1 Si 1.64
O  0.7230  0.5299  0.6330  1 Si 1.64
O  0.7230  0.6930  0.0899  1 Si 1.64
O  0.7770  0.4101  0.8070  1 Si 1.64
O  0.7770  0.8670  0.9701  1 Si 1.64
O  0.8070  0.5299  0.3969  1 Si 1.64
O  0.8070  0.7770  0.4101  1 Si 1.64
O  0.8670  0.3969  0.0899  1 Si 1.64
O  0.8670  0.9701  0.7770  1 Si 1.64
O  0.8969  0.0299  0.3070  1 Si 1.64
O  0.8969  0.3670  0.5899  1 Si 1.64
O  0.9101  0.1330  0.6031  1 Si 1.64
O  0.9101  0.2770  0.3070  1 Si 1.64
O  0.9701  0.6930  0.1031  1 Si 1.64
O  0.9701  0.7770  0.8670  1 Si 1.64

Output
Raw total energy = -506.8 eV per cell
Energy relative to the elements = -2045 meV per atom
Magnetization = 3.00 μB per formula unit

---

Q: Which value of raw total energy does entry 2 give?
A: -167.4 eV per cell

---

Q: Which formula does entry 3 have?
A: Li11V16O32

---

Q: What is the formula in the first record?
A: BaFe5Bi4O15

---

Q: What is the magnetization in the first record?
A: 24.00 μB per formula unit